[1]
The following is a r²SCAN calculation of crystalline YFe2Ge2 at its relaxed geometry, from the Materials Project.

## Properties
SG: I4/mmm (139)
ΔE_f: -0.4765 eV/atom

a b c (Å): 3.9207 3.9207 6.1006
angles (deg): 108.74 108.74 90.00
Fractional positions:
Fe (0.2500, 0.7500, 0.5000)
Fe (0.7500, 0.2500, 0.5000)
Ge (0.6145, 0.6145, 0.2289)
Ge (0.3855, 0.3855, 0.7711)
Y (0.0000, 0.0000, 0.0000)


[2]
The following is a r²SCAN calculation of crystalline K3SI at its relaxed geometry, from the Materials Project.

## Properties
SG: P6_3cm (185)
ΔE_f: -1.2821 eV/atom

a b c (Å): 13.9461 13.9461 8.4274
angles (deg): 90.00 90.00 120.00
Fractional positions:
K (0.0000, 0.1537, 0.3520)
K (0.7814, 0.2686, 0.0340)
K (0.5128, 0.7314, 0.0340)
K (0.2186, 0.4872, 0.0340)
K (0.4872, 0.2186, 0.0340)
K (0.2686, 0.7814, 0.0340)
K (0.7814, 0.5128, 0.5340)
K (0.2686, 0.4872, 0.5340)
K (0.7314, 0.2186, 0.5340)
K (0.1537, 0.0000, 0.3520)
K (0.8463, 0.8463, 0.3520)
K (0.2186, 0.7314, 0.5340)
K (0.8463, 0.0000, 0.8520)
K (0.4872, 0.2686, 0.5340)
K (0.7314, 0.5128, 0.0340)
K (0.1537, 0.1537, 0.8520)
K (0.5128, 0.7814, 0.5340)
K (0.0000, 0.8463, 0.8520)
S (0.3333, 0.6667, 0.7853)
S (0.0000, 0.0000, 0.0990)
S (0.3333, 0.6667, 0.2853)
S (0.6667, 0.3333, 0.2853)
S (0.0000, 0.0000, 0.5990)
S (0.6667, 0.3333, 0.7853)
I (0.3062, 0.3062, 0.2540)
I (0.6938, 0.0000, 0.2540)
I (0.3062, 0.0000, 0.7540)
I (0.0000, 0.6938, 0.2540)
I (0.6938, 0.6938, 0.7540)
I (0.0000, 0.3062, 0.7540)


[3]
The following is a r²SCAN calculation of crystalline SrSb12Ru4 at its relaxed geometry, from the Materials Project.

## Properties
SG: Im-3 (204)
ΔE_f: -0.3608 eV/atom

a b c (Å): 8.1018 8.1020 8.1020
angles (deg): 109.47 109.47 109.47
Fractional positions:
Sb (0.8411, 0.4978, 0.6568)
Sb (0.4978, 0.6568, 0.8410)
Sb (0.1842, 0.3432, 0.8410)
Sb (0.5022, 0.3432, 0.1590)
Sb (0.3432, 0.8410, 0.1842)
Sb (0.3432, 0.1589, 0.5022)
Sb (0.1589, 0.8157, 0.6568)
Sb (0.6568, 0.8411, 0.4978)
Sb (0.6568, 0.1590, 0.8158)
Sb (0.8158, 0.6568, 0.1590)
Sb (0.8411, 0.1843, 0.3432)
Sb (0.1589, 0.5022, 0.3432)
Ru (0.0000, 0.5000, 0.0000)
Ru (0.0000, 0.0000, 0.5000)
Ru (0.5000, 0.0000, 0.0000)
Ru (0.5000, 0.5000, 0.5000)
Sr (0.0000, 0.0000, 0.0000)


[4]
The following is a r²SCAN calculation of crystalline DyGa6Co6 at its relaxed geometry, from the Materials Project.

## Properties
SG: Immm (71)
ΔE_f: -0.3237 eV/atom

a b c (Å): 6.5078 6.5032 6.5047
angles (deg): 135.29 98.83 97.82
Fractional positions:
Co (0.5000, 0.5000, 0.5000)
Co (0.7612, 0.4999, 0.2612)
Co (0.0000, 0.5000, 0.0000)
Co (0.0000, 0.0000, 0.5000)
Co (0.5000, 0.0000, 0.0000)
Co (0.2388, 0.5001, 0.7388)
Ga (0.6558, 0.9999, 0.6557)
Ga (0.3474, 0.3475, 0.0003)
Ga (0.1948, 0.6949, 0.5002)
Ga (0.6526, 0.6525, 0.9997)
Ga (0.3442, 0.0001, 0.3443)
Ga (0.8052, 0.3051, 0.4998)
Dy (0.0000, 0.0000, 0.0000)


[5]
The following is a r²SCAN calculation of crystalline Sc2AlSi2 at its relaxed geometry, from the Materials Project.

## Properties
SG: P4/mbm (127)
ΔE_f: -0.7309 eV/atom

a b c (Å): 4.0147 6.5778 6.5778
angles (deg): 90.00 90.00 90.00
Fractional positions:
Si (0.0000, 0.3739, 0.8739)
Si (0.0000, 0.8739, 0.6261)
Si (0.0000, 0.1261, 0.3739)
Si (0.0000, 0.6261, 0.1261)
Sc (0.5000, 0.3240, 0.1760)
Sc (0.5000, 0.1760, 0.6760)
Sc (0.5000, 0.8240, 0.3240)
Sc (0.5000, 0.6760, 0.8240)
Al (0.0000, 0.5000, 0.5000)
Al (0.0000, 0.0000, 0.0000)


[6]
The following is a r²SCAN calculation of crystalline YbDy3 at its relaxed geometry, from the Materials Project.

## Properties
SG: I4/mmm (139)
ΔE_f: 0.0429 eV/atom

a b c (Å): 6.1100 6.1100 6.1100
angles (deg): 131.80 131.80 70.55
Fractional positions:
Dy (0.5000, 0.5000, 0.0000)
Dy (0.2500, 0.7500, 0.5000)
Dy (0.7500, 0.2500, 0.5000)
Yb (0.0000, 0.0000, 0.0000)


Which value of ΔE_f does entry 2 give? -1.2821 eV/atom


Which of these has the lowest ΔE_f? K3SI